Entry 1:
The following is a r2SCAN calculation of a geometry-optimized Dy5Tl3 structure, from the Materials Project.

Cell lengths 8.9552, 8.9552, 6.6471 Å; angles 90.00, 90.00, 120.00 degrees
Space group P6_3/mcm (No. 193)
Unique sites:
Dy (0.0000, 0.2364, 0.2500) x6
Dy (0.3333, 0.6667, 0.0000) x4
Tl (0.0000, 0.4028, 0.7500) x6

**Formation energy**: -0.44 eV per atom
**V**: 28.85 A^3/atom


Entry 2:
The following is a r2SCAN calculation of a geometry-optimized DyTl structure, from the Materials Project.

Cell lengths 3.763, 3.763, 3.763 Å; angles 90.00, 90.00, 90.00 degrees
Space group Pm-3m (No. 221)
Unique sites:
Dy (0.000, 0.000, 0.000) x1
Tl (0.500, 0.500, 0.500) x1

**Formation energy**: -0.45 eV per atom
**V**: 26.64 A^3/atom


Entry 3:
The following is a r2SCAN calculation of a geometry-optimized DyYTl2 structure, from the Materials Project.

Cell lengths 7.553, 7.553, 7.553 Å; angles 90.00, 90.00, 90.00 degrees
Space group Fm-3m (No. 225)
Unique sites:
Dy (0.000, 0.000, 0.000) x4
Y (0.000, 0.000, 0.500) x4
Tl (0.250, 0.250, 0.250) x8

**Formation energy**: -0.45 eV per atom
**V**: 26.93 A^3/atom


Entry 4:
The following is a r2SCAN calculation of a geometry-optimized DyTm3 structure, from the Materials Project.

Cell lengths 7.1664, 7.1664, 5.5071 Å; angles 90.00, 90.00, 120.00 degrees
Space group P6_3/mmc (No. 194)
Unique sites:
Dy (0.3333, 0.6667, 0.2500) x2
Tm (0.1661, 0.3323, 0.7500) x6

**Formation energy**: 0.00 eV per atom
**V**: 30.62 A^3/atom